[1]
The following is a PBE calculation of Mg2V3MoS8 after structural relaxation, from the Materials Project.

Cell: 7.3542 7.3542 7.3542 Å, 59.00 59.00 59.00°
Atoms (fractional coordinates):
1 Mg 0.1265 0.1265 0.1265
2 Mg 0.8735 0.8735 0.8735
3 V 0.0000 0.5000 0.5000
4 V 0.5000 0.0000 0.5000
5 V 0.5000 0.5000 0.0000
6 Mo 0.5000 0.5000 0.5000
7 S 0.2594 0.2594 0.7165
8 S 0.2594 0.7165 0.2594
9 S 0.2615 0.2615 0.2615
10 S 0.2835 0.7406 0.7406
11 S 0.7165 0.2594 0.2594
12 S 0.7385 0.7385 0.7385
13 S 0.7406 0.2835 0.7406
14 S 0.7406 0.7406 0.2835

- spin magnetization (μB per formula unit) = 9.0
- formation enthalpy at 0 K (eV per formula unit) = -16.5
- V (Å³/f.u.) = 274.86
- symmetry = No. 166

=====

[2]
The following is a PBE calculation of MgVMoS4 after structural relaxation, from the Materials Project.

Cell: 7.3525 7.3525 7.2771 Å, 119.61 119.61 60.54°
Atoms (fractional coordinates):
1 Mg 0.1224 0.1224 0.3725
2 Mg 0.8776 0.8776 0.6275
3 V 0.5000 0.5000 0.0000
4 V 0.5000 0.5000 0.5000
5 Mo 0.0000 0.5000 0.0000
6 Mo 0.5000 0.0000 0.0000
7 S 0.2628 0.2628 0.2432
8 S 0.2628 0.2628 0.7823
9 S 0.2639 0.7157 0.2397
10 S 0.2843 0.7361 0.7603
11 S 0.7157 0.2639 0.2397
12 S 0.7361 0.2843 0.7603
13 S 0.7372 0.7372 0.2177
14 S 0.7372 0.7372 0.7568

- spin magnetization (μB per formula unit) = 5.0
- formation enthalpy at 0 K (eV per formula unit) = -7.5
- V (Å³/f.u.) = 140.48
- symmetry = No. 12

=====

[3]
The following is a PBE calculation of MgMoW3S8 after structural relaxation, from the Materials Project.

Cell: 3.1899 3.1899 43.8691 Å, 90.00 90.00 120.00°
Atoms (fractional coordinates):
1 Mg 0.0000 0.0000 0.0000
2 Mo 0.3333 0.6667 0.9017
3 W 0.3333 0.6667 0.2853
4 W 0.6667 0.3333 0.1055
5 W 0.6667 0.3333 0.4734
6 S 0.3333 0.6667 0.0694
7 S 0.3333 0.6667 0.1414
8 S 0.3333 0.6667 0.4376
9 S 0.3333 0.6667 0.5093
10 S 0.6667 0.3333 0.2495
11 S 0.6667 0.3333 0.3212
12 S 0.6667 0.3333 0.8662
13 S 0.6667 0.3333 0.9379

- spin magnetization (μB per formula unit) = 0.0
- formation enthalpy at 0 K (eV per formula unit) = -13.5
- V (Å³/f.u.) = 386.58
- symmetry = No. 156

=====

[4]
The following is a PBE calculation of MgMoW2S6 after structural relaxation, from the Materials Project.

Cell: 3.1902 3.1902 29.1129 Å, 90.00 90.00 60.00°
Atoms (fractional coordinates):
1 Mg 0.0000 0.0000 0.0000
2 Mo 0.6805 0.6805 0.7310
3 W 0.3472 0.3472 0.4996
4 W 0.6805 0.6805 0.2683
5 S 0.3472 0.3472 0.2143
6 S 0.3472 0.3472 0.3223
7 S 0.3472 0.3472 0.6774
8 S 0.3472 0.3472 0.7846
9 S 0.6806 0.6806 0.4457
10 S 0.6806 0.6806 0.5536

- ΔE to the lowest computed polymorph (kJ/mol of formula units) = 22
- spin magnetization (μB per formula unit) = 0.0
- formation enthalpy at 0 K (eV per formula unit) = -9.9
- V (Å³/f.u.) = 256.59
- symmetry = No. 8

=====

[5]
The following is a PBE calculation of Mg2Mo3WS8 after structural relaxation, from the Materials Project.

Cell: 7.1705 7.1705 7.1705 Å, 63.63 63.63 63.63°
Atoms (fractional coordinates):
1 Mg 0.1222 0.1222 0.1222
2 Mg 0.8778 0.8778 0.8778
3 Mo 0.0000 0.5000 0.5000
4 Mo 0.5000 0.0000 0.5000
5 Mo 0.5000 0.5000 0.0000
6 W 0.5000 0.5000 0.5000
7 S 0.2600 0.2600 0.7219
8 S 0.2600 0.7219 0.2600
9 S 0.2616 0.2616 0.2616
10 S 0.2781 0.7400 0.7400
11 S 0.7219 0.2600 0.2600
12 S 0.7384 0.7384 0.7384
13 S 0.7400 0.2781 0.7400
14 S 0.7400 0.7400 0.2781

- spin magnetization (μB per formula unit) = 6.0
- formation enthalpy at 0 K (eV per formula unit) = -12.0
- V (Å³/f.u.) = 281.49
- symmetry = No. 166

=====

[6]
The following is a PBE calculation of MgMoW2S6 after structural relaxation, from the Materials Project.

Cell: 3.1906 3.1906 36.7493 Å, 90.00 90.00 120.00°
Atoms (fractional coordinates):
1 Mg 0.0000 0.0000 0.0000
2 Mo 0.3333 0.6667 0.8837
3 W 0.3333 0.6667 0.3543
4 W 0.6667 0.3333 0.1326
5 S 0.3333 0.6667 0.0896
6 S 0.3333 0.6667 0.1754
7 S 0.6667 0.3333 0.3116
8 S 0.6667 0.3333 0.3971
9 S 0.6667 0.3333 0.8414
10 S 0.6667 0.3333 0.9268

- ΔE to the lowest computed polymorph (kJ/mol of formula units) = 0
- spin magnetization (μB per formula unit) = 0.0
- formation enthalpy at 0 K (eV per formula unit) = -10.1
- V (Å³/f.u.) = 323.98
- symmetry = No. 156

=====

[7]
The following is a PBE calculation of MgMoW2S6 after structural relaxation, from the Materials Project.

Cell: 3.1887 3.1887 36.8020 Å, 90.00 90.00 120.00°
Atoms (fractional coordinates):
1 Mg 0.0000 0.0000 0.0000
2 Mo 0.3333 0.6667 0.6523
3 W 0.3333 0.6667 0.1241
4 W 0.6667 0.3333 0.8744
5 S 0.3333 0.6667 0.8318
6 S 0.3333 0.6667 0.9174
7 S 0.6667 0.3333 0.0811
8 S 0.6667 0.3333 0.1668
9 S 0.6667 0.3333 0.6097
10 S 0.6667 0.3333 0.6949

- ΔE to the lowest computed polymorph (kJ/mol of formula units) = 6
- spin magnetization (μB per formula unit) = 0.0
- formation enthalpy at 0 K (eV per formula unit) = -10.0
- V (Å³/f.u.) = 324.06
- symmetry = No. 156

=====

[8]
The following is a PBE calculation of Mg6SbMo after structural relaxation, from the Materials Project.

Cell: 5.0033 6.2249 10.5348 Å, 90.00 90.00 90.00°
Atoms (fractional coordinates):
1 Mg 0.5000 0.7600 0.9142
2 Mg 0.0000 0.0000 0.3343
3 Mg 0.0000 0.7442 0.5814
4 Mg 0.5000 0.0000 0.1664
5 Mg 0.0000 0.2442 0.0814
6 Mg 0.5000 0.2400 0.9142
7 Mg 0.0000 0.2558 0.5814
8 Mg 0.5000 0.7400 0.4142
9 Mg 0.0000 0.7558 0.0814
10 Mg 0.5000 0.2600 0.4142
11 Mg 0.0000 0.5000 0.8343
12 Mg 0.5000 0.5000 0.6664
13 Mo 0.0000 0.0000 0.8322
14 Mo 0.0000 0.5000 0.3322
15 Sb 0.5000 0.0000 0.6758
16 Sb 0.5000 0.5000 0.1758

- ΔE to the lowest computed polymorph (kJ/mol of formula units) = 0
- spin magnetization (μB per formula unit) = 0.0
- formation enthalpy at 0 K (eV per formula unit) = 0.8
- V (Å³/f.u.) = 164.05

=====

[9]
The following is a PBE calculation of Mg6SbMo after structural relaxation, from the Materials Project.

Cell: 5.1290 6.0174 10.7875 Å, 90.00 90.00 90.00°
Atoms (fractional coordinates):
1 Mg 0.5000 0.7477 0.9173
2 Mg 0.5000 0.7523 0.4173
3 Mg 0.0000 0.0000 0.3256
4 Mg 0.0000 0.2372 0.0838
5 Mg 0.5000 0.2523 0.9173
6 Mg 0.0000 0.0000 0.8362
7 Mg 0.0000 0.5000 0.3362
8 Mg 0.0000 0.7372 0.5838
9 Mg 0.0000 0.5000 0.8256
10 Mg 0.5000 0.2477 0.4173
11 Mg 0.0000 0.2628 0.5838
12 Mg 0.0000 0.7628 0.0838
13 Sb 0.5000 0.5000 0.1690
14 Sb 0.5000 0.0000 0.6690
15 Mo 0.5000 0.0000 0.1669
16 Mo 0.5000 0.5000 0.6669

- ΔE to the lowest computed polymorph (kJ/mol of formula units) = 37
- spin magnetization (μB per formula unit) = 1.6
- formation enthalpy at 0 K (eV per formula unit) = 1.2
- V (Å³/f.u.) = 166.47

=====

[10]
The following is a PBE calculation of Mg14SbMo after structural relaxation, from the Materials Project.

Cell: 6.2820 6.2820 10.1652 Å, 90.00 90.00 120.00°
Atoms (fractional coordinates):
1 Mg 0.0000 0.0000 0.2482
2 Mg 0.0000 0.0000 0.7518
3 Mg 0.0096 0.5048 0.2386
4 Mg 0.0096 0.5048 0.7614
5 Mg 0.3323 0.1661 0.0000
6 Mg 0.3331 0.1665 0.5000
7 Mg 0.4952 0.5048 0.2386
8 Mg 0.4952 0.5048 0.7614
9 Mg 0.4952 0.9904 0.2386
10 Mg 0.4952 0.9904 0.7614
11 Mg 0.8335 0.1665 0.5000
12 Mg 0.8335 0.6669 0.5000
13 Mg 0.8339 0.1661 0.0000
14 Mg 0.8339 0.6677 0.0000
15 Sb 0.3333 0.6667 0.5000
16 Mo 0.3333 0.6667 0.0000

- ΔE to the lowest computed polymorph (kJ/mol of formula units) = 0
- spin magnetization (μB per formula unit) = 0.3
- formation enthalpy at 0 K (eV per formula unit) = 0.9
- V (Å³/f.u.) = 347.41
- symmetry = No. 187

=====

[11]
The following is a PBE calculation of Mg14SbMo after structural relaxation, from the Materials Project.

Cell: 10.2202 6.3004 6.3004 Å, 59.66 90.00 90.00°
Atoms (fractional coordinates):
1 Mg 0.0000 0.0000 0.0000
2 Mg 0.0000 0.0009 0.4990
3 Mg 0.0000 0.4990 0.0009
4 Mg 0.0000 0.4995 0.4995
5 Mg 0.2465 0.6672 0.6672
6 Mg 0.2551 0.1607 0.6749
7 Mg 0.2551 0.6749 0.1607
8 Mg 0.2556 0.1616 0.1616
9 Mg 0.5000 0.9999 0.4978
10 Mg 0.5000 0.4978 0.9999
11 Mg 0.7444 0.1616 0.1616
12 Mg 0.7449 0.1607 0.6749
13 Mg 0.7449 0.6749 0.1607
14 Mg 0.7535 0.6672 0.6672
15 Sb 0.5000 0.5039 0.5039
16 Mo 0.5000 0.9992 0.9992

- ΔE to the lowest computed polymorph (kJ/mol of formula units) = 26
- spin magnetization (μB per formula unit) = 2.2
- formation enthalpy at 0 K (eV per formula unit) = 1.2
- V (Å³/f.u.) = 350.13
- symmetry = No. 38

=====

[12]
The following is a PBE calculation of MgMo6Se8 after structural relaxation, from the Materials Project.

Cell: 6.8320 6.8572 13.6960 Å, 93.24 93.17 93.38°
Atoms (fractional coordinates):
1 Mg 0.0000 0.0000 0.0000
2 Mg 0.1585 0.8335 0.5043
3 Mo 0.3462 0.4908 0.6857
4 Mo 0.3465 0.4913 0.1853
5 Mo 0.5233 0.1805 0.2510
6 Mo 0.5253 0.1764 0.7500
7 Mo 0.5638 0.5277 0.3604
8 Mo 0.5638 0.5300 0.8582
9 Mo 0.6576 0.3581 0.5952
10 Mo 0.6580 0.3628 0.0939
11 Mo 0.6941 0.7089 0.2029
12 Mo 0.6955 0.7117 0.7044
13 Mo 0.8743 0.4003 0.2689
14 Mo 0.8765 0.3961 0.7696
15 Se 0.2387 0.3221 0.3436
16 Se 0.2402 0.3162 0.8424
17 Se 0.3241 0.1632 0.5856
18 Se 0.3317 0.1597 0.0840
19 Se 0.3778 0.8157 0.2908
20 Se 0.3795 0.8146 0.7887
21 Se 0.4874 0.6751 0.0406
22 Se 0.4948 0.6790 0.5407
23 Se 0.7334 0.2111 0.9119
24 Se 0.7341 0.2148 0.4124
25 Se 0.8428 0.0739 0.6643
26 Se 0.8437 0.0723 0.1677
27 Se 0.8904 0.7329 0.3674
28 Se 0.9006 0.7268 0.8658
29 Se 0.9819 0.5694 0.6113
30 Se 0.9825 0.5710 0.1092

- ΔE to the lowest computed polymorph (kJ/mol of formula units) = 4
- spin magnetization (μB per formula unit) = 0.0
- formation enthalpy at 0 K (eV per formula unit) = -12.5
- V (Å³/f.u.) = 319.19
- symmetry = No. 1

=====

formation enthalpy at 0 K of number 1 (Mg2V3MoS8)?
-16.5 eV per formula unit